(1)
Tb3S PBE relaxed; energy with MP2020 corrections = -4.909 eV/atom; space-group type = No. 221; theoretical density = 8.6 g/cm3
1.0
4.6083 0.0000 0.0000
0.0000 4.6083 0.0000
0.0000 0.0000 4.6083
Tb S
3 1
Direct
0.0000 0.5000 0.5000 Tb
0.5000 0.0000 0.5000 Tb
0.5000 0.5000 0.0000 Tb
0.0000 0.0000 0.0000 S

***

(2)
Tb5S7 PBE relaxed; energy with MP2020 corrections = -6.709 eV/atom; space-group type = No. 12; theoretical density = 6.1 g/cm3
1.0
1.9137 6.4511 0.0000
-1.9137 6.4511 0.0000
0.0000 2.9576 11.2744
Tb S
5 7
Direct
0.0000 0.0000 0.0000 Tb
0.1124 0.1124 0.5785 Tb
0.8876 0.8876 0.4215 Tb
0.3012 0.3012 0.8116 Tb
0.6988 0.6988 0.1884 Tb
0.5000 0.5000 0.5000 S
0.6598 0.6598 0.9488 S
0.3402 0.3402 0.0512 S
0.9590 0.9590 0.7850 S
0.0410 0.0410 0.2150 S
0.2589 0.2589 0.3518 S
0.7411 0.7411 0.6482 S

***

(3)
Tb2S3 PBE relaxed; energy with MP2020 corrections = -6.712 eV/atom; space-group type = No. 62; theoretical density = 6.3 g/cm3
1.0
-2.4511 2.5281 1.6669
-8.1599 -5.7483 -3.2803
0.3371 -5.6599 9.0797
Tb S
8 12
Direct
0.2500 0.9962 0.8079 Tb
0.7500 0.0038 0.1921 Tb
0.7500 0.4962 0.6921 Tb
0.2500 0.5038 0.3079 Tb
0.2500 0.1867 0.4902 Tb
0.7500 0.8133 0.5098 Tb
0.7500 0.6867 0.0098 Tb
0.2500 0.3133 0.9902 Tb
0.2500 0.3035 0.7281 S
0.7500 0.6965 0.2719 S
0.7500 0.8035 0.7719 S
0.2500 0.1965 0.2281 S
0.2500 0.9445 0.3803 S
0.7500 0.0555 0.6197 S
0.7500 0.4445 0.1197 S
0.2500 0.5555 0.8803 S
0.2500 0.8734 0.0457 S
0.7500 0.1266 0.9543 S
0.7500 0.3734 0.4543 S
0.2500 0.6266 0.5457 S

***

(4)
Tb2S3 PBE relaxed; energy with MP2020 corrections = -6.688 eV/atom; space-group type = No. 122; theoretical density = 6.3 g/cm3
1.0
3.8035 6.9418 11.3208
-7.4842 3.4923 11.0727
3.3348 -10.2952 -8.5850
Tb S
16 24
Direct
0.7195 0.5972 0.3953 Tb
0.2019 0.3242 0.6047 Tb
0.4163 0.9163 0.5000 Tb
0.9939 0.6250 0.8689 Tb
0.0305 0.9258 0.3777 Tb
0.3337 0.3337 0.0000 Tb
0.5481 0.6528 0.6223 Tb
0.7561 0.1250 0.1311 Tb
0.3472 0.9695 0.8953 Tb
0.3750 0.2439 0.3689 Tb
0.6663 0.6663 0.0000 Tb
0.8750 0.0061 0.6311 Tb
0.0742 0.4519 0.1047 Tb
0.0837 0.5837 0.5000 Tb
0.6758 0.2805 0.8777 Tb
0.4028 0.7981 0.1223 Tb
0.5022 0.2556 0.8900 S
0.7118 0.8236 0.7458 S
0.3656 0.6122 0.1100 S
0.2478 0.6378 0.2534 S
0.3844 0.9944 0.7466 S
0.6722 0.4264 0.3882 S
0.0778 0.9660 0.2542 S
0.8462 0.5941 0.9064 S
0.0382 0.2840 0.6118 S
0.0601 0.1538 0.7479 S
0.6877 0.9399 0.0936 S
0.5736 0.9618 0.2458 S
0.7160 0.3278 0.7542 S
0.0056 0.7522 0.3900 S
0.4059 0.3123 0.2521 S
0.1764 0.9222 0.8882 S
0.3622 0.6156 0.6100 S
0.3878 0.4978 0.7534 S
0.0340 0.2882 0.1118 S
0.9038 0.3101 0.2479 S
0.0623 0.6559 0.7521 S
0.7444 0.6344 0.2466 S
0.3441 0.0962 0.4064 S
0.6899 0.9377 0.5936 S

***

(5)
Tb2S3 PBE relaxed; energy with MP2020 corrections = -6.706 eV/atom; space-group type = No. 62; theoretical density = 6.3 g/cm3
1.0
-2.1155 -1.0460 3.1206
3.4789 -6.4377 0.2006
10.5814 6.0043 9.1860
Tb S
8 12
Direct
0.2500 0.7667 0.4566 Tb
0.2500 0.2667 0.0434 Tb
0.7500 0.2333 0.5434 Tb
0.7500 0.7333 0.9566 Tb
0.2500 0.1419 0.7958 Tb
0.2500 0.6419 0.7042 Tb
0.7500 0.8581 0.2042 Tb
0.7500 0.3581 0.2958 Tb
0.2500 0.0090 0.6086 S
0.2500 0.5090 0.8914 S
0.7500 0.9910 0.3914 S
0.7500 0.4910 0.1086 S
0.2500 0.1487 0.2185 S
0.2500 0.6487 0.2815 S
0.7500 0.8513 0.7815 S
0.7500 0.3513 0.7185 S
0.2500 0.3757 0.4329 S
0.2500 0.8757 0.0671 S
0.7500 0.6243 0.5671 S
0.7500 0.1243 0.9329 S

***

(6)
Tb2TeS2 PBE relaxed; energy with MP2020 corrections = -6.199 eV/atom; space-group type = No. 71; theoretical density = 5.5 g/cm3
1.0
1.8037 -7.3309 1.0046
2.1159 -3.3032 6.5282
-5.1778 4.1547 -3.7329
Tb Te S
2 1 2
Direct
0.8339 0.3339 0.5000 Tb
0.1661 0.6661 0.5000 Tb
0.0000 0.0000 0.0000 Te
0.7055 0.7055 0.0000 S
0.2945 0.2945 0.0000 S

***

(7)
TcS2 PBE relaxed; energy with MP2020 corrections = -7.166 eV/atom; space-group type = No. 2; theoretical density = 4.2 g/cm3
1.0
-1.6839 2.6635 5.5797
2.3650 -2.5201 5.5254
6.4372 3.2346 2.2249
Tc S
4 8
Direct
0.5114 0.2855 0.5021 Tc
0.4886 0.7145 0.4979 Tc
0.9381 0.3094 0.5078 Tc
0.0619 0.6906 0.4922 Tc
0.3226 0.1700 0.3297 S
0.6774 0.8300 0.6703 S
0.8592 0.1516 0.3068 S
0.1408 0.8484 0.6932 S
0.3627 0.6694 0.2507 S
0.6373 0.3306 0.7493 S
0.8249 0.7009 0.2749 S
0.1751 0.2991 0.7251 S

***

(8)
TiTeS PBE relaxed; energy with MP2020 corrections = -6.237 eV/atom; space-group type = No. 156; theoretical density = 4.7 g/cm3
1.0
-1.8060 -3.1284 0.0001
-1.8063 3.1285 0.0000
0.0001 0.0000 -6.5161
Ti Te S
1 1 1
Direct
0.0001 0.0000 0.0351 Ti
0.6665 0.3333 0.7441 Te
0.3334 0.6667 0.2208 S

***

Question: Which of these has the highest theoretical density?
Answer: Tb3S